Record 1
## Ba2LaNbO6 (PBE-GGA)

Data for an optimized crystal structure of Ba2LaNbO6.

Unit cell a=8.7612 b=8.7612 c=8.7612 alpha=90.00 beta=90.00 gamma=90.00
Closest atoms and distances in Å follow each position.
Positions (direct):
Ba (0.5000, 0.5000, 0.5000)  12 O 3.10
Ba (0.0000, 0.0000, 0.0000)  12 O 3.10
Ba (0.0000, 0.0000, 0.5000)  4 O 2.79
Ba (0.0000, 0.5000, 0.0000)  4 O 2.79
Ba (0.5000, 0.0000, 0.0000)  4 O 2.79
Ba (0.5000, 0.5000, 0.0000)  4 O 2.79
Ba (0.5000, 0.0000, 0.5000)  4 O 2.79
Ba (0.0000, 0.5000, 0.5000)  4 O 2.79
La (0.7500, 0.7500, 0.7500)  6 O 2.39
La (0.7500, 0.2500, 0.2500)  6 O 2.39
La (0.2500, 0.7500, 0.2500)  6 O 2.39
La (0.2500, 0.2500, 0.7500)  6 O 2.39
Nb (0.2500, 0.2500, 0.2500)  6 O 2.03
Nb (0.2500, 0.7500, 0.7500)  6 O 2.03
Nb (0.7500, 0.2500, 0.7500)  6 O 2.03
Nb (0.7500, 0.7500, 0.2500)  6 O 2.03
O (0.2265, 0.2766, 0.4795)  1 Nb 2.03
O (0.2265, 0.7234, 0.5205)  1 Nb 2.03
O (0.7735, 0.2766, 0.5205)  1 Nb 2.03
O (0.7735, 0.7234, 0.4795)  1 Nb 2.03
O (0.2766, 0.4795, 0.2265)  1 Nb 2.03
O (0.7234, 0.5205, 0.2265)  1 Nb 2.03
O (0.2766, 0.5205, 0.7735)  1 Nb 2.03
O (0.7234, 0.4795, 0.7735)  1 Nb 2.03
O (0.4795, 0.2265, 0.2766)  1 Nb 2.03
O (0.5205, 0.2265, 0.7234)  1 Nb 2.03
O (0.5205, 0.7735, 0.2766)  1 Nb 2.03
O (0.4795, 0.7735, 0.7234)  1 Nb 2.03
O (0.2735, 0.2234, 0.0205)  1 Nb 2.03
O (0.2735, 0.7766, 0.9795)  1 Nb 2.03
O (0.7265, 0.2234, 0.9795)  1 Nb 2.03
O (0.7265, 0.7766, 0.0205)  1 Nb 2.03
O (0.2234, 0.0205, 0.2735)  1 Nb 2.03
O (0.7766, 0.9795, 0.2735)  1 Nb 2.03
O (0.2234, 0.9795, 0.7265)  1 Nb 2.03
O (0.7766, 0.0205, 0.7265)  1 Nb 2.03
O (0.0205, 0.2735, 0.2234)  1 Nb 2.03
O (0.9795, 0.2735, 0.7766)  1 Nb 2.03
O (0.9795, 0.7265, 0.2234)  1 Nb 2.03
O (0.0205, 0.7265, 0.7766)  1 Nb 2.03

Values from the calculation:
symmetry = Pn-3 (201)
MP2020-corrected energy = -329.23 eV per cell
formation energy = -3.374 eV/atom
spin magnetization = 0.00 μB/f.u.

=====

Record 2
## Ba3LaNb3O12 (PBE-GGA)

Data for an optimized crystal structure of Ba3LaNb3O12.

Unit cell a=9.9322 b=9.9322 c=9.9322 alpha=34.14 beta=34.14 gamma=34.14
Closest atoms and distances in Å follow each position.
Positions (direct):
Ba (0.7103, 0.7103, 0.7103)  12 O 2.84-2.92
Ba (0.2885, 0.2885, 0.2885)  12 O 2.76-3.00
Ba (0.1311, 0.1311, 0.1311)  12 O 2.80-2.97
La (0.8538, 0.8538, 0.8538)  3 O 2.41
Nb (0.5748, 0.5748, 0.5748)  3 O 1.88
Nb (0.4239, 0.4239, 0.4239)  6 O 1.95-2.15
Nb (0.9987, 0.9987, 0.9987)  6 O 1.98-2.09
O (0.2089, 0.7125, 0.2089)  2 Nb 2.09-2.15
O (0.2089, 0.2089, 0.7125)  2 Nb 2.09-2.15
O (0.7125, 0.2089, 0.2089)  2 Nb 2.09-2.15
O (0.7956, 0.2889, 0.7956)  1 Nb 1.98
O (0.7956, 0.7956, 0.2889)  1 Nb 1.98
O (0.2889, 0.7956, 0.7956)  1 Nb 1.98
O (0.3780, 0.8764, 0.3780)  1 Nb 1.88
O (0.3780, 0.3780, 0.8764)  1 Nb 1.88
O (0.8764, 0.3780, 0.3780)  1 Nb 1.88
O (0.6254, 0.1253, 0.6254)  1 Nb 1.95
O (0.6254, 0.6254, 0.1253)  1 Nb 1.95
O (0.1253, 0.6254, 0.6254)  1 Nb 1.95

Values from the calculation:
symmetry = R3m (160)
MP2020-corrected energy = -163.06 eV per cell
formation energy = -3.299 eV/atom
spin magnetization = 0.00 μB/f.u.

=====

Record 3
## Ba2LaNbO6 (PBE-GGA)

Data for an optimized crystal structure of Ba2LaNbO6.

Unit cell a=6.1382 b=6.1382 c=6.2210 alpha=60.26 beta=60.26 gamma=60.14
Closest atoms and distances in Å follow each position.
Positions (direct):
Ba (0.2461, 0.2461, 0.7616)  5 O 2.74-2.86
Ba (0.7539, 0.7539, 0.2384)  5 O 2.74-2.86
La (0.0000, 0.0000, 0.5000)  6 O 2.39-2.40
Nb (0.5000, 0.5000, 0.0000)  6 O 2.03-2.04
O (0.7279, 0.7279, 0.7032)  1 Nb 2.04
O (0.2721, 0.2721, 0.2968)  1 Nb 2.04
O (0.2290, 0.6940, 0.8116)  1 Nb 2.03
O (0.3060, 0.7710, 0.1884)  1 Nb 2.03
O (0.7710, 0.3060, 0.1884)  1 Nb 2.03
O (0.6940, 0.2290, 0.8116)  1 Nb 2.03

Values from the calculation:
symmetry = C2/m (12)
MP2020-corrected energy = -82.44 eV per cell
formation energy = -3.388 eV/atom
spin magnetization = 0.00 μB/f.u.